P2S3 after structural relaxation. Source: the Materials Project database, functional meta-GGA r2SCAN.

abc: 4.551 10.048 11.585
angles: 90.00 112.63 90.00
Fractional coordinates of all 20 atoms:
P 0.090 0.186 0.480
P 0.090 0.314 0.980
P 0.380 0.197 0.771
P 0.380 0.303 0.271
P 0.620 0.697 0.729
P 0.620 0.803 0.229
P 0.910 0.686 0.020
P 0.910 0.814 0.520
S 0.171 0.637 0.597
S 0.171 0.863 0.097
S 0.273 0.124 0.346
S 0.273 0.376 0.846
S 0.479 0.215 0.122
S 0.479 0.285 0.622
S 0.521 0.715 0.378
S 0.521 0.785 0.878
S 0.727 0.624 0.154
S 0.727 0.876 0.654
S 0.829 0.137 0.903
S 0.829 0.363 0.403

Total magnetic moment: 0.00 μB per cell
Formation energy: -174 meV per atom

P2S7 after structural relaxation. Source: the Materials Project database, functional meta-GGA r2SCAN.

abc: 6.625 11.190 12.883
angles: 90.00 94.07 90.00
Fractional coordinates of all 36 atoms:
P 0.015 0.187 0.100
P 0.015 0.313 0.600
P 0.338 0.703 0.821
P 0.338 0.797 0.321
P 0.662 0.203 0.679
P 0.662 0.297 0.179
P 0.985 0.687 0.400
P 0.985 0.813 0.900
S 0.032 0.648 0.825
S 0.032 0.852 0.325
S 0.069 0.222 0.944
S 0.069 0.278 0.444
S 0.156 0.663 0.108
S 0.156 0.837 0.608
S 0.223 0.079 0.153
S 0.223 0.421 0.653
S 0.288 0.631 0.394
S 0.288 0.869 0.894
S 0.396 0.736 0.665
S 0.396 0.764 0.165
S 0.456 0.098 0.621
S 0.456 0.402 0.121
S 0.544 0.598 0.879
S 0.544 0.902 0.379
S 0.604 0.236 0.835
S 0.604 0.264 0.335
S 0.712 0.131 0.106
S 0.712 0.369 0.606
S 0.777 0.579 0.347
S 0.777 0.921 0.847
S 0.844 0.163 0.392
S 0.844 0.337 0.892
S 0.931 0.722 0.556
S 0.931 0.778 0.056
S 0.968 0.148 0.675
S 0.968 0.352 0.175

Total magnetic moment: 0.00 μB per cell
Formation energy: -174 meV per atom

ScPS4 after structural relaxation. Source: the Materials Project database, functional meta-GGA r2SCAN.

abc: 6.247 6.532 6.947
angles: 86.44 88.43 81.18
Fractional coordinates of all 12 atoms:
Sc 0.205 0.195 0.063
Sc 0.795 0.805 0.937
P 0.312 0.765 0.818
P 0.688 0.235 0.182
S 0.087 0.023 0.754
S 0.122 0.539 0.797
S 0.404 0.787 0.096
S 0.422 0.265 0.351
S 0.578 0.735 0.649
S 0.596 0.213 0.904
S 0.878 0.461 0.203
S 0.913 0.977 0.246

Total magnetic moment: 0.00 μB per cell
Formation energy: -1075 meV per atom

TaPS6 after structural relaxation. Source: the Materials Project database, functional meta-GGA r2SCAN.

abc: 13.166 13.166 13.166
angles: 105.01 105.01 118.81
Fractional coordinates of all 64 atoms:
Ta 0.049 0.299 0.599
Ta 0.201 0.451 0.901
Ta 0.299 0.201 0.250
Ta 0.451 0.049 0.250
Ta 0.549 0.951 0.750
Ta 0.701 0.799 0.750
Ta 0.799 0.549 0.099
Ta 0.951 0.701 0.401
P 0.180 0.250 0.430
P 0.250 0.320 0.070
P 0.250 0.820 0.570
P 0.320 0.750 0.070
P 0.680 0.250 0.930
P 0.750 0.180 0.430
P 0.750 0.680 0.930
P 0.820 0.750 0.570
S 0.040 0.700 0.247
S 0.047 0.208 0.747
S 0.090 0.132 0.253
S 0.096 0.630 0.472
S 0.121 0.368 0.458
S 0.124 0.158 0.528
S 0.130 0.596 0.972
S 0.132 0.379 0.042
S 0.158 0.130 0.034
S 0.163 0.910 0.542
S 0.200 0.540 0.747
S 0.208 0.960 0.160
S 0.292 0.453 0.753
S 0.300 0.047 0.340
S 0.337 0.879 0.747
S 0.342 0.376 0.972
S 0.368 0.410 0.247
S 0.370 0.342 0.466
S 0.376 0.904 0.034
S 0.379 0.837 0.247
S 0.404 0.876 0.534
S 0.410 0.663 0.042
S 0.453 0.200 0.160
S 0.460 0.708 0.660
S 0.540 0.292 0.340
S 0.547 0.800 0.840
S 0.590 0.337 0.958
S 0.596 0.124 0.466
S 0.621 0.163 0.753
S 0.624 0.096 0.966
S 0.630 0.658 0.534
S 0.632 0.590 0.753
S 0.658 0.624 0.028
S 0.663 0.121 0.253
S 0.700 0.953 0.660
S 0.708 0.547 0.247
S 0.792 0.040 0.840
S 0.800 0.460 0.253
S 0.837 0.090 0.458
S 0.842 0.870 0.966
S 0.868 0.621 0.958
S 0.870 0.404 0.028
S 0.876 0.842 0.472
S 0.879 0.632 0.542
S 0.904 0.370 0.528
S 0.910 0.868 0.747
S 0.953 0.792 0.253
S 0.960 0.300 0.753

Total magnetic moment: 0.00 μB per cell
Formation energy: -619 meV per atom

TbPS4 after structural relaxation. Source: the Materials Project database, functional meta-GGA r2SCAN.

abc: 12.201 12.201 12.201
angles: 127.78 127.78 76.97
Fractional coordinates of all 48 atoms:
Tb 0.125 0.375 0.750
Tb 0.125 0.875 0.250
Tb 0.375 0.125 0.250
Tb 0.375 0.625 0.750
Tb 0.625 0.375 0.250
Tb 0.625 0.875 0.750
Tb 0.875 0.125 0.750
Tb 0.875 0.625 0.250
P 0.212 0.250 0.462
P 0.250 0.288 0.038
P 0.250 0.788 0.538
P 0.288 0.750 0.038
P 0.712 0.250 0.962
P 0.750 0.212 0.462
P 0.750 0.712 0.962
P 0.788 0.750 0.538
S 0.085 0.884 0.475
S 0.092 0.390 0.975
S 0.095 0.665 0.938
S 0.110 0.408 0.525
S 0.116 0.092 0.202
S 0.157 0.095 0.930
S 0.165 0.595 0.438
S 0.227 0.157 0.562
S 0.273 0.835 0.930
S 0.335 0.773 0.430
S 0.343 0.273 0.938
S 0.384 0.585 0.975
S 0.390 0.915 0.298
S 0.405 0.343 0.570
S 0.408 0.384 0.298
S 0.415 0.890 0.798
S 0.585 0.110 0.202
S 0.592 0.616 0.702
S 0.595 0.657 0.430
S 0.610 0.085 0.702
S 0.616 0.415 0.025
S 0.657 0.727 0.062
S 0.665 0.227 0.570
S 0.727 0.165 0.070
S 0.773 0.843 0.438
S 0.835 0.405 0.562
S 0.843 0.905 0.070
S 0.884 0.908 0.798
S 0.890 0.592 0.475
S 0.905 0.335 0.062
S 0.908 0.610 0.025
S 0.915 0.116 0.525

Total magnetic moment: 0.00 μB per cell
Formation energy: -1222 meV per atom

ThP2S6 after structural relaxation. Source: the Materials Project database, functional meta-GGA r2SCAN.

abc: 7.005 7.005 9.937
angles: 90.00 90.00 90.00
Fractional coordinates of all 18 atoms:
Th 0.000 0.000 0.250
Th 0.000 0.000 0.750
P 0.061 0.351 0.000
P 0.351 0.939 0.500
P 0.649 0.061 0.500
P 0.939 0.649 0.000
S 0.174 0.822 0.000
S 0.178 0.174 0.500
S 0.213 0.324 0.170
S 0.213 0.324 0.830
S 0.324 0.787 0.330
S 0.324 0.787 0.670
S 0.676 0.213 0.330
S 0.676 0.213 0.670
S 0.787 0.676 0.170
S 0.787 0.676 0.830
S 0.822 0.826 0.500
S 0.826 0.178 0.000

Total magnetic moment: 0.00 μB per cell
Formation energy: -997 meV per atom

V values, unit Å³/atom, following the record order: 24.5; 26.5; 23.3; 26.9; 22.9; 27.1.